Na3ScTaSi2PO12 after structural relaxation, computed with GGA-PBE.

Summary:
Energy above the most stable polymorph in this dataset: 0.00 eV per formula unit
Total magnetic moment: 0.0 μB per cell
ΔE_f: -3.058 eV/atom

Lattice parameters (Å, degrees): 15.7585 27.2244 9.0281 90.00 124.90 90.00
Last column: nearest neighbours and their distance in Å.
Fractional coordinates of all 240 atoms:
1 Na 0.2542 0.2546 0.0065  6 O 2.38-2.63
2 Na 0.2466 0.5874 0.0165  5 O 2.35-2.57
3 Na 0.2491 0.9182 0.0179  6 O 2.37-2.62
4 Na 0.7542 0.2454 0.5065  6 O 2.38-2.63
5 Na 0.7491 0.5818 0.5179  6 O 2.37-2.62
6 Na 0.7466 0.9126 0.5165  5 O 2.35-2.57
7 Na 0.7466 0.0874 0.0165  5 O 2.35-2.57
8 Na 0.7491 0.4182 0.0179  6 O 2.37-2.62
9 Na 0.7542 0.7546 0.0065  6 O 2.38-2.63
10 Na 0.2491 0.0818 0.5179  6 O 2.37-2.62
11 Na 0.2466 0.4126 0.5165  5 O 2.35-2.57
12 Na 0.2542 0.7454 0.5065  6 O 2.38-2.63
13 Na 0.4941 0.0340 0.7525  4 O 2.35-2.47
14 Na 0.4967 0.3679 0.7587  5 O 2.39-2.68
15 Na 0.4940 0.7005 0.7484  4 O 2.40-2.56
16 Na 0.4940 0.2995 0.2484  4 O 2.40-2.56
17 Na 0.4967 0.6321 0.2587  5 O 2.39-2.68
18 Na 0.4941 0.9660 0.2525  4 O 2.35-2.47
19 Na 0.9940 0.2005 0.7484  4 O 2.40-2.56
20 Na 0.9941 0.5340 0.7525  4 O 2.35-2.47
21 Na 0.9967 0.8679 0.7587  5 O 2.39-2.68
22 Na 0.9967 0.1321 0.2587  5 O 2.39-2.68
23 Na 0.9941 0.4660 0.2525  4 O 2.35-2.47
24 Na 0.9940 0.7995 0.2484  4 O 2.40-2.56
25 Na 0.8166 0.6447 0.2022  5 O 2.45-2.73
26 Na 0.8167 0.9788 0.2092  4 O 2.33-2.61
27 Na 0.1950 0.3073 0.2883  5 O 2.37-2.64
28 Na 0.1950 0.6927 0.7883  5 O 2.37-2.64
29 Na 0.8167 0.0212 0.7092  4 O 2.33-2.61
30 Na 0.8166 0.3553 0.7022  5 O 2.45-2.73
31 Na 0.3166 0.1447 0.2022  5 O 2.45-2.73
32 Na 0.3167 0.4788 0.2092  4 O 2.33-2.61
33 Na 0.6950 0.8073 0.2883  5 O 2.37-2.64
34 Na 0.6950 0.1927 0.7883  5 O 2.37-2.64
35 Na 0.3167 0.5212 0.7092  4 O 2.33-2.61
36 Na 0.3166 0.8553 0.7022  5 O 2.45-2.73
37 Sc 0.8980 0.2504 0.9410  6 O 1.99-2.20
38 Sc 0.8926 0.5829 0.9327  6 O 1.97-2.20
39 Sc 0.8935 0.9144 0.9349  5 O 1.97-2.14
40 Sc 0.8935 0.0856 0.4349  5 O 1.97-2.14
41 Sc 0.8926 0.4171 0.4327  6 O 1.97-2.20
42 Sc 0.8980 0.7496 0.4410  6 O 1.99-2.20
43 Sc 0.3926 0.0829 0.9327  6 O 1.97-2.20
44 Sc 0.3935 0.4144 0.9349  5 O 1.97-2.14
45 Sc 0.3980 0.7504 0.9410  6 O 1.99-2.20
46 Sc 0.3980 0.2496 0.4410  6 O 1.99-2.20
47 Sc 0.3935 0.5856 0.4349  5 O 1.97-2.14
48 Sc 0.3926 0.9171 0.4327  6 O 1.97-2.20
49 Ta 0.1068 0.2480 0.5662  6 O 1.93-2.12
50 Ta 0.1044 0.5827 0.5652  6 O 1.94-2.12
51 Ta 0.1058 0.9171 0.5653  6 O 1.94-2.10
52 Ta 0.1058 0.0829 0.0653  6 O 1.94-2.10
53 Ta 0.1044 0.4173 0.0652  6 O 1.94-2.12
54 Ta 0.1068 0.7520 0.0662  6 O 1.93-2.12
55 Ta 0.6044 0.0827 0.5652  6 O 1.94-2.12
56 Ta 0.6058 0.4171 0.5653  6 O 1.94-2.10
57 Ta 0.6068 0.7480 0.5662  6 O 1.93-2.12
58 Ta 0.6068 0.2520 0.0662  6 O 1.93-2.12
59 Ta 0.6058 0.5829 0.0653  6 O 1.94-2.10
60 Ta 0.6044 0.9173 0.0652  6 O 1.94-2.12
61 Si 0.3497 0.2965 0.7477  4 O 1.62-1.68
62 Si 0.3523 0.6304 0.7557  4 O 1.60-1.68
63 Si 0.3512 0.9640 0.7521  4 O 1.60-1.72
64 Si 0.6448 0.3010 0.7398  4 O 1.61-1.69
65 Si 0.6446 0.6323 0.7390  4 O 1.59-1.72
66 Si 0.6448 0.9664 0.7390  4 O 1.59-1.72
67 Si 0.6448 0.0336 0.2390  4 O 1.59-1.72
68 Si 0.6446 0.3677 0.2390  4 O 1.59-1.72
69 Si 0.6448 0.6990 0.2398  4 O 1.61-1.69
70 Si 0.3512 0.0360 0.2521  4 O 1.60-1.72
71 Si 0.3523 0.3696 0.2557  4 O 1.60-1.68
72 Si 0.3497 0.7035 0.2477  4 O 1.62-1.68
73 Si 0.8523 0.1304 0.7557  4 O 1.60-1.68
74 Si 0.8512 0.4640 0.7521  4 O 1.60-1.72
75 Si 0.8497 0.7965 0.7477  4 O 1.62-1.68
76 Si 0.1446 0.1323 0.7390  4 O 1.59-1.72
77 Si 0.1448 0.4664 0.7390  4 O 1.59-1.72
78 Si 0.1448 0.8010 0.7398  4 O 1.61-1.69
79 Si 0.1448 0.1990 0.2398  4 O 1.61-1.69
80 Si 0.1448 0.5336 0.2390  4 O 1.59-1.72
81 Si 0.1446 0.8677 0.2390  4 O 1.59-1.72
82 Si 0.8497 0.2035 0.2477  4 O 1.62-1.68
83 Si 0.8512 0.5360 0.2521  4 O 1.60-1.72
84 Si 0.8523 0.8696 0.2557  4 O 1.60-1.68
85 P 0.0067 0.3200 0.7508  4 O 1.50-1.59
86 P 0.0013 0.6533 0.7467  4 O 1.52-1.59
87 P 0.0041 0.9868 0.7455  4 O 1.52-1.58
88 P 0.0041 0.0132 0.2455  4 O 1.52-1.58
89 P 0.0013 0.3467 0.2467  4 O 1.52-1.59
90 P 0.0067 0.6800 0.2508  4 O 1.50-1.59
91 P 0.5013 0.1533 0.7467  4 O 1.52-1.59
92 P 0.5041 0.4868 0.7455  4 O 1.52-1.58
93 P 0.5067 0.8200 0.7508  4 O 1.50-1.59
94 P 0.5067 0.1800 0.2508  4 O 1.50-1.59
95 P 0.5041 0.5132 0.2455  4 O 1.52-1.58
96 P 0.5013 0.8467 0.2467  4 O 1.52-1.59
97 O 0.1437 0.1943 0.7419  1 Si 1.69
98 O 0.1455 0.5288 0.7459  1 Si 1.70
99 O 0.1453 0.8620 0.7431  1 Si 1.66
100 O 0.8429 0.1899 0.7551  1 Si 1.63
101 O 0.8471 0.5228 0.7550  1 Si 1.60
102 O 0.8445 0.8562 0.7530  1 Si 1.63
103 O 0.8445 0.1438 0.2530  1 Si 1.63
104 O 0.8471 0.4772 0.2550  1 Si 1.60
105 O 0.8429 0.8101 0.2551  1 Si 1.63
106 O 0.1453 0.1380 0.2431  1 Si 1.66
107 O 0.1455 0.4712 0.2459  1 Si 1.70
108 O 0.1437 0.8057 0.2419  1 Si 1.69
109 O 0.6455 0.0288 0.7459  1 Si 1.70
110 O 0.6453 0.3620 0.7431  1 Si 1.66
111 O 0.6437 0.6943 0.7419  1 Si 1.69
112 O 0.3471 0.0228 0.7550  1 Si 1.60
113 O 0.3445 0.3562 0.7530  1 Si 1.63
114 O 0.3429 0.6899 0.7551  1 Si 1.63
115 O 0.3429 0.3101 0.2551  1 Si 1.63
116 O 0.3445 0.6438 0.2530  1 Si 1.63
117 O 0.3471 0.9772 0.2550  1 Si 1.60
118 O 0.6437 0.3057 0.2419  1 Si 1.69
119 O 0.6453 0.6380 0.2431  1 Si 1.66
120 O 0.6455 0.9712 0.2459  1 Si 1.70
121 O 0.4396 0.1822 0.5711  1 P 1.52
122 O 0.4383 0.5171 0.5736  1 P 1.52
123 O 0.4444 0.8526 0.5889  1 P 1.50
124 O 0.5647 0.1893 0.9113  1 P 1.57
125 O 0.5640 0.5225 0.9134  1 P 1.58
126 O 0.5711 0.8527 0.9286  1 P 1.59
127 O 0.5711 0.1473 0.4286  1 P 1.59
128 O 0.5640 0.4775 0.4134  1 P 1.58
129 O 0.5647 0.8107 0.4113  1 P 1.57
130 O 0.4444 0.1474 0.0889  1 P 1.50
131 O 0.4383 0.4829 0.0736  1 P 1.52
132 O 0.4396 0.8178 0.0711  1 P 1.52
133 O 0.9383 0.0171 0.5736  1 P 1.52
134 O 0.9444 0.3526 0.5889  1 P 1.50
135 O 0.9396 0.6822 0.5711  1 P 1.52
136 O 0.0640 0.0225 0.9134  1 P 1.58
137 O 0.0711 0.3527 0.9286  1 P 1.59
138 O 0.0647 0.6893 0.9113  1 P 1.57
139 O 0.0647 0.3107 0.4113  1 P 1.57
140 O 0.0711 0.6473 0.4286  1 P 1.59
141 O 0.0640 0.9775 0.4134  1 P 1.58
142 O 0.9396 0.3178 0.0711  1 P 1.52
143 O 0.9444 0.6474 0.0889  1 P 1.50
144 O 0.9383 0.9829 0.0736  1 P 1.52
145 O 0.2503 0.2717 0.7360  1 Si 1.65
146 O 0.2532 0.6055 0.7478  1 Si 1.67
147 O 0.2534 0.9370 0.7419  1 Si 1.66
148 O 0.7462 0.2813 0.7534  1 Si 1.62
149 O 0.7464 0.6130 0.7597  1 Si 1.59
150 O 0.7491 0.9513 0.7560  1 Si 1.61
151 O 0.7491 0.0487 0.2560  1 Si 1.61
152 O 0.7464 0.3870 0.2597  1 Si 1.59
153 O 0.7462 0.7187 0.2534  1 Si 1.62
154 O 0.2534 0.0630 0.2419  1 Si 1.66
155 O 0.2532 0.3945 0.2478  1 Si 1.67
156 O 0.2503 0.7283 0.2360  1 Si 1.65
157 O 0.7532 0.1055 0.7478  1 Si 1.67
158 O 0.7534 0.4370 0.7419  1 Si 1.66
159 O 0.7503 0.7717 0.7360  1 Si 1.65
160 O 0.2464 0.1130 0.7597  1 Si 1.59
161 O 0.2491 0.4513 0.7560  1 Si 1.61
162 O 0.2462 0.7813 0.7534  1 Si 1.62
163 O 0.2462 0.2187 0.2534  1 Si 1.62
164 O 0.2491 0.5487 0.2560  1 Si 1.61
165 O 0.2464 0.8870 0.2597  1 Si 1.59
166 O 0.7503 0.2283 0.2360  1 Si 1.65
167 O 0.7534 0.5630 0.2419  1 Si 1.66
168 O 0.7532 0.8945 0.2478  1 Si 1.67
169 O 0.3448 0.2825 0.5687  1 Si 1.62
170 O 0.3509 0.6118 0.5863  1 Si 1.60
171 O 0.3543 0.9443 0.5888  1 Si 1.60
172 O 0.6376 0.2847 0.9129  1 Si 1.69
173 O 0.6389 0.6186 0.9189  1 Si 1.72
174 O 0.6422 0.9511 0.9213  1 Si 1.72
175 O 0.6422 0.0489 0.4213  1 Si 1.72
176 O 0.6389 0.3814 0.4189  1 Si 1.72
177 O 0.6376 0.7153 0.4129  1 Si 1.69
178 O 0.3543 0.0557 0.0888  1 Si 1.60
179 O 0.3509 0.3882 0.0863  1 Si 1.60
180 O 0.3448 0.7175 0.0687  1 Si 1.62
181 O 0.8509 0.1118 0.5863  1 Si 1.60
182 O 0.8543 0.4443 0.5888  1 Si 1.60
183 O 0.8448 0.7825 0.5687  1 Si 1.62
184 O 0.1389 0.1186 0.9189  1 Si 1.72
185 O 0.1422 0.4511 0.9213  1 Si 1.72
186 O 0.1376 0.7847 0.9129  1 Si 1.69
187 O 0.1376 0.2153 0.4129  1 Si 1.69
188 O 0.1422 0.5489 0.4213  1 Si 1.72
189 O 0.1389 0.8814 0.4189  1 Si 1.72
190 O 0.8448 0.2175 0.0687  1 Si 1.62
191 O 0.8543 0.5557 0.0888  1 Si 1.60
192 O 0.8509 0.8882 0.0863  1 Si 1.60
193 O 0.4603 0.2744 0.9290  1 Si 1.68
194 O 0.4609 0.6076 0.9405  1 Si 1.68
195 O 0.4617 0.9400 0.9391  1 Si 1.72
196 O 0.5410 0.2805 0.5592  1 Si 1.61
197 O 0.5376 0.6153 0.5581  1 Si 1.60
198 O 0.5401 0.9486 0.5591  1 Si 1.59
199 O 0.5401 0.0514 0.0591  1 Si 1.59
200 O 0.5376 0.3847 0.0581  1 Si 1.60
201 O 0.5410 0.7195 0.0592  1 Si 1.61
202 O 0.4617 0.0600 0.4391  1 Si 1.72
203 O 0.4609 0.3924 0.4405  1 Si 1.68
204 O 0.4603 0.7256 0.4290  1 Si 1.68
205 O 0.9609 0.1076 0.9405  1 Si 1.68
206 O 0.9617 0.4400 0.9391  1 Si 1.72
207 O 0.9603 0.7744 0.9290  1 Si 1.68
208 O 0.0376 0.1153 0.5581  1 Si 1.60
209 O 0.0401 0.4486 0.5591  1 Si 1.59
210 O 0.0410 0.7805 0.5592  1 Si 1.61
211 O 0.0410 0.2195 0.0592  1 Si 1.61
212 O 0.0401 0.5514 0.0591  1 Si 1.59
213 O 0.0376 0.8847 0.0581  1 Si 1.60
214 O 0.9603 0.2256 0.4290  1 Si 1.68
215 O 0.9617 0.5600 0.4391  1 Si 1.72
216 O 0.9609 0.8924 0.4405  1 Si 1.68
217 O 0.0857 0.2868 0.7468  1 P 1.56
218 O 0.0889 0.6235 0.7484  1 P 1.59
219 O 0.0863 0.9552 0.7457  1 P 1.55
220 O 0.9309 0.2861 0.7603  1 P 1.55
221 O 0.9337 0.6164 0.7598  1 P 1.52
222 O 0.9311 0.9527 0.7596  1 P 1.54
223 O 0.9311 0.0473 0.2596  1 P 1.54
224 O 0.9337 0.3836 0.2598  1 P 1.52
225 O 0.9309 0.7139 0.2603  1 P 1.55
226 O 0.0863 0.0448 0.2457  1 P 1.55
227 O 0.0889 0.3765 0.2484  1 P 1.59
228 O 0.0857 0.7132 0.2468  1 P 1.56
229 O 0.5889 0.1235 0.7484  1 P 1.59
230 O 0.5863 0.4552 0.7457  1 P 1.55
231 O 0.5857 0.7868 0.7468  1 P 1.56
232 O 0.4337 0.1164 0.7598  1 P 1.52
233 O 0.4311 0.4527 0.7596  1 P 1.54
234 O 0.4309 0.7861 0.7603  1 P 1.55
235 O 0.4309 0.2139 0.2603  1 P 1.55
236 O 0.4311 0.5473 0.2596  1 P 1.54
237 O 0.4337 0.8836 0.2598  1 P 1.52
238 O 0.5857 0.2132 0.2468  1 P 1.56
239 O 0.5863 0.5448 0.2457  1 P 1.55
240 O 0.5889 0.8765 0.2484  1 P 1.59